Record 1
Below is Mg2TaAgO6 after structural relaxation, with properties calculated at the PBE level.

abc: 5.639 7.406 5.739
angles: 90.00 103.08 90.00
Element x y z (fractional)
Mg (0.030, 0.250, 0.043)
Mg (0.461, 0.750, 0.430)
Mg (0.539, 0.250, 0.570)
Mg (0.970, 0.750, 0.957)
Ta (0.500, 0.000, 0.000)
Ta (0.500, 0.500, 0.000)
Ag (0.000, 0.000, 0.500)
Ag (0.000, 0.500, 0.500)
O (0.138, 0.250, 0.409)
O (0.221, 0.573, 0.127)
O (0.221, 0.927, 0.127)
O (0.349, 0.561, 0.656)
O (0.349, 0.939, 0.656)
O (0.353, 0.250, 0.939)
O (0.647, 0.750, 0.061)
O (0.651, 0.061, 0.344)
O (0.651, 0.439, 0.344)
O (0.779, 0.073, 0.873)
O (0.779, 0.427, 0.873)
O (0.862, 0.750, 0.591)

Energy of formation from the pure elements in eV/atom: -2.4192
Energy in eV per atom: -6.7648

Record 2
Below is Li2PrO3 after structural relaxation, with properties calculated at the PBE level.

abc: 5.462 5.462 3.694
angles: 90.00 90.00 130.17
Element x y z (fractional)
Li (0.156, 0.844, 0.000)
Li (0.844, 0.156, 0.000)
Pr (0.500, 0.500, 0.500)
O (0.000, 0.000, 0.500)
O (0.350, 0.650, 0.000)
O (0.650, 0.350, 0.000)

Energy of formation from the pure elements in eV/atom: -2.4580
Energy in eV per atom: -6.0216

Record 3
Below is EuAuO3 after structural relaxation, with properties calculated at the PBE level.

abc: 4.110 4.110 4.110
angles: 90.00 90.00 90.00
Element x y z (fractional)
Eu (0.000, 0.000, 0.000)
Au (0.500, 0.500, 0.500)
O (0.000, 0.500, 0.500)
O (0.500, 0.000, 0.500)
O (0.500, 0.500, 0.000)

Energy of formation from the pure elements in eV/atom: -1.4822
Energy in eV per atom: -6.7449

Record 4
Below is Dy2Ni15B9 after structural relaxation, with properties calculated at the PBE level.

abc: 9.816 9.816 11.251
angles: 90.00 90.00 72.22
Element x y z (fractional)
Dy (0.192, 0.308, 0.250)
Dy (0.239, 0.761, 0.959)
Dy (0.261, 0.739, 0.459)
Dy (0.308, 0.192, 0.750)
Dy (0.692, 0.808, 0.250)
Dy (0.739, 0.261, 0.541)
Dy (0.761, 0.239, 0.041)
Dy (0.808, 0.692, 0.750)
Ni (0.000, 0.000, 0.000)
Ni (0.000, 0.000, 0.500)
Ni (0.005, 0.227, 0.881)
Ni (0.010, 0.183, 0.660)
Ni (0.011, 0.831, 0.806)
Ni (0.029, 0.757, 0.597)
Ni (0.053, 0.607, 0.915)
Ni (0.069, 0.431, 0.750)
Ni (0.107, 0.553, 0.415)
Ni (0.137, 0.338, 0.530)
Ni (0.162, 0.363, 0.970)
Ni (0.169, 0.989, 0.806)
Ni (0.183, 0.010, 0.340)
Ni (0.227, 0.005, 0.119)
Ni (0.234, 0.766, 0.212)
Ni (0.243, 0.971, 0.597)
Ni (0.257, 0.529, 0.097)
Ni (0.266, 0.734, 0.712)
Ni (0.273, 0.495, 0.619)
Ni (0.317, 0.490, 0.840)
Ni (0.331, 0.511, 0.306)
Ni (0.338, 0.137, 0.470)
Ni (0.363, 0.162, 0.030)
Ni (0.393, 0.947, 0.915)
Ni (0.431, 0.069, 0.250)
Ni (0.447, 0.893, 0.415)
Ni (0.471, 0.743, 0.097)
Ni (0.489, 0.669, 0.306)
Ni (0.490, 0.317, 0.160)
Ni (0.495, 0.273, 0.381)
Ni (0.500, 0.500, 0.000)
Ni (0.500, 0.500, 0.500)
Ni (0.505, 0.727, 0.619)
Ni (0.510, 0.683, 0.840)
Ni (0.511, 0.331, 0.694)
Ni (0.529, 0.257, 0.903)
Ni (0.553, 0.107, 0.585)
Ni (0.569, 0.931, 0.750)
Ni (0.607, 0.053, 0.085)
Ni (0.637, 0.838, 0.970)
Ni (0.662, 0.863, 0.530)
Ni (0.669, 0.489, 0.694)
Ni (0.683, 0.510, 0.160)
Ni (0.727, 0.505, 0.381)
Ni (0.734, 0.266, 0.288)
Ni (0.743, 0.471, 0.903)
Ni (0.757, 0.029, 0.403)
Ni (0.766, 0.234, 0.788)
Ni (0.773, 0.995, 0.881)
Ni (0.817, 0.990, 0.660)
Ni (0.831, 0.011, 0.194)
Ni (0.838, 0.637, 0.030)
Ni (0.863, 0.662, 0.470)
Ni (0.893, 0.447, 0.585)
Ni (0.931, 0.569, 0.250)
Ni (0.947, 0.393, 0.085)
Ni (0.971, 0.243, 0.403)
Ni (0.989, 0.169, 0.194)
Ni (0.990, 0.817, 0.340)
Ni (0.995, 0.773, 0.119)
B (0.048, 0.952, 0.671)
B (0.049, 0.551, 0.100)
B (0.051, 0.549, 0.600)
B (0.057, 0.943, 0.202)
B (0.092, 0.202, 0.051)
B (0.120, 0.622, 0.244)
B (0.122, 0.620, 0.744)
B (0.136, 0.136, 0.500)
B (0.202, 0.092, 0.949)
B (0.298, 0.408, 0.449)
B (0.364, 0.364, 0.000)
B (0.378, 0.880, 0.244)
B (0.380, 0.878, 0.744)
B (0.408, 0.298, 0.551)
B (0.443, 0.557, 0.702)
B (0.449, 0.951, 0.100)
B (0.451, 0.949, 0.600)
B (0.452, 0.548, 0.171)
B (0.548, 0.452, 0.829)
B (0.549, 0.051, 0.400)
B (0.551, 0.049, 0.900)
B (0.557, 0.443, 0.298)
B (0.592, 0.702, 0.449)
B (0.620, 0.122, 0.256)
B (0.622, 0.120, 0.756)
B (0.636, 0.636, 0.000)
B (0.702, 0.592, 0.551)
B (0.798, 0.908, 0.051)
B (0.864, 0.864, 0.500)
B (0.878, 0.380, 0.256)
B (0.880, 0.378, 0.756)
B (0.908, 0.798, 0.949)
B (0.943, 0.057, 0.798)
B (0.949, 0.451, 0.400)
B (0.951, 0.449, 0.900)
B (0.952, 0.048, 0.329)

Energy of formation from the pure elements in eV/atom: -0.4143
Energy in eV per atom: -6.4155

Record 5
Below is Sm3Cu3Sb4 after structural relaxation, with properties calculated at the PBE level.

abc: 8.402 8.402 8.402
angles: 109.47 109.47 109.47
Element x y z (fractional)
Sm (0.125, 0.875, 0.250)
Sm (0.250, 0.125, 0.875)
Sm (0.375, 0.625, 0.750)
Sm (0.625, 0.750, 0.375)
Sm (0.750, 0.375, 0.625)
Sm (0.875, 0.250, 0.125)
Cu (0.125, 0.750, 0.875)
Cu (0.250, 0.625, 0.375)
Cu (0.375, 0.250, 0.625)
Cu (0.625, 0.375, 0.250)
Cu (0.750, 0.875, 0.125)
Cu (0.875, 0.125, 0.750)
Sb (0.000, 0.159, 0.500)
Sb (0.000, 0.659, 0.500)
Sb (0.159, 0.500, 0.000)
Sb (0.341, 0.341, 0.341)
Sb (0.500, 0.000, 0.159)
Sb (0.500, 0.000, 0.659)
Sb (0.659, 0.500, 0.000)
Sb (0.841, 0.841, 0.841)

Energy of formation from the pure elements in eV/atom: -0.8355
Energy in eV per atom: -5.0557

Record 6
Below is NiH4C2S4N2 after structural relaxation, with properties calculated at the PBE level.

abc: 7.232 13.116 11.164
angles: 90.00 130.36 90.00
Element x y z (fractional)
Ni (0.115, 0.129, 0.477)
Ni (0.115, 0.371, 0.977)
Ni (0.885, 0.629, 0.023)
Ni (0.885, 0.871, 0.523)
H (0.124, 0.083, 0.935)
H (0.124, 0.417, 0.435)
H (0.361, 0.505, 0.532)
H (0.361, 0.995, 0.032)
H (0.375, 0.147, 0.378)
H (0.375, 0.353, 0.878)
H (0.382, 0.733, 0.023)
H (0.382, 0.767, 0.523)
H (0.618, 0.233, 0.477)
H (0.618, 0.267, 0.977)
H (0.625, 0.647, 0.122)
H (0.625, 0.853, 0.622)
H (0.639, 0.005, 0.968)
H (0.639, 0.495, 0.468)
H (0.876, 0.583, 0.565)
H (0.876, 0.917, 0.065)
C (0.103, 0.526, 0.294)
C (0.103, 0.974, 0.794)
C (0.348, 0.238, 0.743)
C (0.348, 0.262, 0.243)
C (0.652, 0.738, 0.757)
C (0.652, 0.762, 0.257)
C (0.897, 0.026, 0.206)
C (0.897, 0.474, 0.706)
S (0.074, 0.230, 0.064)
S (0.074, 0.270, 0.564)
S (0.165, 0.508, 0.884)
S (0.165, 0.992, 0.384)
S (0.220, 0.631, 0.272)
S (0.220, 0.869, 0.772)
S (0.458, 0.130, 0.722)
S (0.458, 0.370, 0.222)
S (0.542, 0.630, 0.778)
S (0.542, 0.870, 0.278)
S (0.780, 0.131, 0.228)
S (0.780, 0.369, 0.728)
S (0.835, 0.008, 0.616)
S (0.835, 0.492, 0.116)
S (0.926, 0.730, 0.436)
S (0.926, 0.770, 0.936)
N (0.203, 0.021, 0.929)
N (0.203, 0.479, 0.429)
N (0.454, 0.210, 0.375)
N (0.454, 0.290, 0.875)
N (0.546, 0.710, 0.125)
N (0.546, 0.790, 0.625)
N (0.797, 0.521, 0.571)
N (0.797, 0.979, 0.071)

Energy of formation from the pure elements in eV/atom: -0.3339
Energy in eV per atom: -5.5872

Record 7
Below is Li3CrN2 after structural relaxation, with properties calculated at the PBE level.

abc: 7.428 7.428 7.428
angles: 123.02 123.02 84.84
Element x y z (fractional)
Li (0.109, 0.359, 0.218)
Li (0.109, 0.891, 0.750)
Li (0.252, 0.502, 0.750)
Li (0.359, 0.109, 0.718)
Li (0.359, 0.641, 0.250)
Li (0.498, 0.748, 0.750)
Li (0.502, 0.252, 0.250)
Li (0.641, 0.359, 0.750)
Li (0.641, 0.891, 0.282)
Li (0.748, 0.498, 0.250)
Li (0.891, 0.109, 0.250)
Li (0.891, 0.641, 0.782)
Cr (0.003, 0.253, 0.750)
Cr (0.253, 0.003, 0.250)
Cr (0.747, 0.997, 0.750)
Cr (0.997, 0.747, 0.250)
N (0.126, 0.671, 0.455)
N (0.284, 0.329, 0.955)
N (0.329, 0.284, 0.455)
N (0.329, 0.874, 0.045)
N (0.671, 0.126, 0.955)
N (0.671, 0.716, 0.545)
N (0.716, 0.671, 0.045)
N (0.874, 0.329, 0.545)

Energy relative to the lowest polymorph listed for this composition in eV/atom: 0.141
Energy of formation from the pure elements in eV/atom: -0.4659
Energy in eV per atom: -5.6877

Record 8
Below is KICl4O after structural relaxation, with properties calculated at the PBE level.

abc: 4.815 13.731 13.187
angles: 90.00 104.43 90.00
Element x y z (fractional)
K (0.154, 0.162, 0.430)
K (0.154, 0.338, 0.930)
K (0.846, 0.662, 0.070)
K (0.846, 0.838, 0.570)
I (0.303, 0.056, 0.796)
I (0.303, 0.444, 0.296)
I (0.697, 0.556, 0.704)
I (0.697, 0.944, 0.204)
Cl (0.072, 0.604, 0.316)
Cl (0.072, 0.896, 0.816)
Cl (0.219, 0.108, 0.963)
Cl (0.219, 0.392, 0.463)
Cl (0.369, 0.002, 0.613)
Cl (0.369, 0.498, 0.113)
Cl (0.482, 0.721, 0.725)
Cl (0.482, 0.779, 0.225)
Cl (0.518, 0.221, 0.775)
Cl (0.518, 0.279, 0.275)
Cl (0.631, 0.502, 0.887)
Cl (0.631, 0.998, 0.387)
Cl (0.781, 0.608, 0.537)
Cl (0.781, 0.892, 0.037)
Cl (0.928, 0.104, 0.184)
Cl (0.928, 0.396, 0.684)
O (0.282, 0.715, 0.960)
O (0.282, 0.785, 0.460)
O (0.718, 0.215, 0.540)
O (0.718, 0.285, 0.040)

Energy of formation from the pure elements in eV/atom: -0.4108
Energy in eV per atom: -2.4522